# Co2OF3 | the Materials Project | GGA+U | optimized geometry
# Energy above the most stable polymorph in this dataset = 74 meV per atom
# Formation energy = -43.96 kcal/mol of atoms
data_Co2OF3
_chemical_formula_sum 'Co16 O8 F24'
_cell_length_a 6.1919
_cell_length_b 12.8403
_cell_length_c 6.8319
_cell_angle_alpha 90.00
_cell_angle_beta 90.00
_cell_angle_gamma 90.00
_symmetry_space_group_name_H-M 'C m m m'
_symmetry_Int_Tables_number 65
_symmetry_space_group_name_Hall '-C 2 2'
loop_
_atom_site_label
_atom_site_fract_x
_atom_site_fract_y
_atom_site_fract_z
Co1 0.0000 0.0000 0.0000
Co2 0.0000 0.2395 0.5000
Co3 0.0000 0.5000 0.0000
Co4 0.2405 0.0000 0.5000
Co5 0.2500 0.2500 0.0000
O1 0.0000 0.0913 0.5000
O2 0.0000 0.3463 0.0000
F1 0.0000 0.1522 0.0000
F2 0.0000 0.4017 0.5000
F3 0.2485 0.5000 0.1954
F4 0.2500 0.2500 0.3032